1.
ZnS | GGA-PBE | optimized geometry

The structure in POSCAR format:
```
ZnS
1.0
3.8520 0.0000 0.0000
-1.9260 3.3359 0.0000
0.0000 0.0000 81.8839
Zn S
26 26
Direct
0.0000 0.0000 0.0000 Zn
0.0000 0.0000 0.0769 Zn
0.0000 0.0000 0.1923 Zn
0.0000 0.0000 0.2692 Zn
0.0000 0.0000 0.3846 Zn
0.0000 0.0000 0.5000 Zn
0.0000 0.0000 0.6154 Zn
0.0000 0.0000 0.7692 Zn
0.0000 0.0000 0.8462 Zn
0.3333 0.6667 0.0385 Zn
0.3333 0.6667 0.1539 Zn
0.3333 0.6667 0.3077 Zn
0.3333 0.6667 0.4231 Zn
0.3333 0.6667 0.5769 Zn
0.3333 0.6667 0.6923 Zn
0.3333 0.6667 0.8077 Zn
0.3333 0.6667 0.9231 Zn
0.6667 0.3333 0.1154 Zn
0.6667 0.3333 0.2308 Zn
0.6667 0.3333 0.3462 Zn
0.6667 0.3333 0.4615 Zn
0.6667 0.3333 0.5385 Zn
0.6667 0.3333 0.6538 Zn
0.6667 0.3333 0.7308 Zn
0.6667 0.3333 0.8846 Zn
0.6667 0.3333 0.9616 Zn
0.0000 0.0000 0.0288 S
0.0000 0.0000 0.1058 S
0.0000 0.0000 0.2211 S
0.0000 0.0000 0.2981 S
0.0000 0.0000 0.4134 S
0.0000 0.0000 0.5289 S
0.0000 0.0000 0.6442 S
0.0000 0.0000 0.7980 S
0.0000 0.0000 0.8750 S
0.3333 0.6667 0.0673 S
0.3333 0.6667 0.1827 S
0.3333 0.6667 0.3365 S
0.3333 0.6667 0.4519 S
0.3333 0.6667 0.6058 S
0.3333 0.6667 0.7212 S
0.3333 0.6667 0.8365 S
0.3333 0.6667 0.9519 S
0.6667 0.3333 0.1442 S
0.6667 0.3333 0.2596 S
0.6667 0.3333 0.3750 S
0.6667 0.3333 0.4903 S
0.6667 0.3333 0.5673 S
0.6667 0.3333 0.6827 S
0.6667 0.3333 0.7596 S
0.6667 0.3333 0.9134 S
0.6667 0.3333 0.9904 S
```

Values from the calculation:
As for the space-group type: No. 156. The value obtained for the calculated formation energy is -1.06 eV/atom.

---

2.
ZnS | GGA-PBE | optimized geometry

The structure in POSCAR format:
```
ZnS
1.0
1.9259 1.1119 15.7605
-1.9259 1.1119 15.7605
0.0000 -2.2238 15.7605
Zn S
5 5
Direct
0.0000 0.0000 0.0000 Zn
0.1334 0.1334 0.1334 Zn
0.2667 0.2667 0.2667 Zn
0.4000 0.4000 0.4000 Zn
0.5334 0.5334 0.5334 Zn
0.0500 0.0500 0.0500 S
0.1833 0.1833 0.1833 S
0.3166 0.3166 0.3166 S
0.4500 0.4500 0.4500 S
0.5834 0.5834 0.5834 S
```

Values from the calculation:
The piezoelectric modulus e_max comes out at 0.2 C/m². As for the space-group type: No. 160. The value obtained for the calculated formation energy is -1.05 eV/atom.

---

3.
Zr3S4 | GGA-PBE | optimized geometry

The structure in POSCAR format:
```
Zr3S4
1.0
0.0000 5.3905 5.3905
5.3905 0.0000 5.3905
5.3905 5.3905 0.0000
Zr S
6 8
Direct
0.0000 0.0000 0.0000 Zr
0.0000 0.0000 0.5000 Zr
0.0000 0.5000 0.0000 Zr
0.3750 0.3750 0.3750 Zr
0.5000 0.0000 0.0000 Zr
0.6250 0.6250 0.6250 Zr
0.2326 0.7558 0.7558 S
0.2442 0.2442 0.2442 S
0.2442 0.2442 0.7674 S
0.2442 0.7674 0.2442 S
0.7558 0.2326 0.7558 S
0.7558 0.7558 0.2326 S
0.7558 0.7558 0.7558 S
0.7674 0.2442 0.2442 S
```

Values from the calculation:
The energy relative to the lowest polymorph listed for this composition is 287.5 meV per atom. As for the space-group type: No. 227. The value obtained for the calculated formation energy is -1.57 eV/atom.

---

4.
ZrS | GGA-PBE | optimized geometry

The structure in POSCAR format:
```
ZrS
1.0
3.5839 0.0000 0.0000
0.0000 3.5839 0.0000
0.0000 0.0000 5.6553
Zr S
2 2
Direct
0.2500 0.2500 0.1819 Zr
0.7500 0.7500 0.8181 Zr
0.2500 0.2500 0.6911 S
0.7500 0.7500 0.3089 S
```

Values from the calculation:
As for the space-group type: No. 129. The value obtained for the calculated formation energy is -1.69 eV/atom.

---

5.
Zr3S4 | GGA-PBE | optimized geometry

The structure in POSCAR format:
```
Zr3S4
1.0
7.3169 0.0000 0.0000
-3.6431 6.3865 0.0000
-0.0964 -4.1365 23.9709
Zr S
24 32
Direct
0.0000 0.0000 0.0000 Zr
0.0000 0.0000 0.5000 Zr
0.0000 0.5000 0.0000 Zr
0.0056 0.2347 0.7553 Zr
0.0083 0.7815 0.7487 Zr
0.2171 0.3570 0.8741 Zr
0.2462 0.1067 0.1274 Zr
0.2559 0.1160 0.6270 Zr
0.2595 0.6510 0.6226 Zr
0.2596 0.6228 0.1216 Zr
0.2758 0.8846 0.3774 Zr
0.4644 0.2371 0.7481 Zr
0.5000 0.0000 0.5000 Zr
0.5000 0.5000 0.0000 Zr
0.5000 0.5000 0.5000 Zr
0.5356 0.7629 0.2519 Zr
0.7242 0.1154 0.6226 Zr
0.7404 0.3772 0.8784 Zr
0.7405 0.3490 0.3774 Zr
0.7441 0.8840 0.3730 Zr
0.7538 0.8933 0.8726 Zr
0.7829 0.6430 0.1259 Zr
0.9917 0.2185 0.2513 Zr
0.9944 0.7653 0.2447 Zr
0.1129 0.5620 0.8119 S
0.1152 0.3030 0.0646 S
0.1152 0.8082 0.5616 S
0.1186 0.3170 0.5631 S
0.1289 0.0438 0.8195 S
0.1289 0.5643 0.3108 S
0.1313 0.0583 0.3143 S
0.1553 0.8244 0.0572 S
0.3691 0.1844 0.9375 S
0.3690 0.1963 0.4360 S
0.3694 0.6831 0.9351 S
0.3702 0.4425 0.6854 S
0.3696 0.6781 0.4388 S
0.3786 0.9247 0.6921 S
0.3802 0.9286 0.1880 S
0.3860 0.4350 0.1890 S
0.6140 0.5650 0.8110 S
0.6198 0.0714 0.8120 S
0.6214 0.0753 0.3079 S
0.6304 0.3219 0.5612 S
0.6298 0.5575 0.3146 S
0.6306 0.3169 0.0649 S
0.6310 0.8037 0.5640 S
0.6309 0.8156 0.0625 S
0.8447 0.1756 0.9428 S
0.8687 0.9417 0.6857 S
0.8711 0.4357 0.6892 S
0.8711 0.9562 0.1805 S
0.8814 0.6830 0.4369 S
0.8848 0.1918 0.4384 S
0.8848 0.6970 0.9354 S
0.8871 0.4380 0.1881 S
```

Values from the calculation:
The energy relative to the lowest polymorph listed for this composition is 550.0 meV per atom. As for the space-group type: No. 2. The value obtained for the calculated formation energy is -1.31 eV/atom.

---

6.
ZrS | GGA-PBE | optimized geometry

The structure in POSCAR format:
```
ZrS
1.0
5.2470 0.0000 0.0000
0.0000 5.2470 0.0000
0.0000 0.0000 5.2470
Zr S
4 4
Direct
0.0000 0.0000 0.0000 Zr
0.0000 0.5000 0.5000 Zr
0.5000 0.0000 0.5000 Zr
0.5000 0.5000 0.0000 Zr
0.0000 0.0000 0.5000 S
0.0000 0.5000 0.0000 S
0.5000 0.0000 0.0000 S
0.5000 0.5000 0.5000 S
```

Values from the calculation:
As for the space-group type: No. 225. The value obtained for the calculated formation energy is -1.59 eV/atom.

---

7.
Zr9S2 | GGA-PBE | optimized geometry

The structure in POSCAR format:
```
Zr9S2
1.0
-4.8961 4.8961 9.6957
4.8961 -4.8961 9.6957
4.8961 4.8961 -9.6957
Zr S
36 8
Direct
0.0000 0.3209 0.3209 Zr
0.0000 0.6791 0.6791 Zr
0.0686 0.1464 0.5779 Zr
0.0686 0.4907 0.9221 Zr
0.0971 0.1987 0.8984 Zr
0.1464 0.0686 0.0779 Zr
0.1724 0.6427 0.5297 Zr
0.1987 0.0971 0.3984 Zr
0.1987 0.8003 0.1016 Zr
0.1997 0.8013 0.3984 Zr
0.2400 0.4900 0.7500 Zr
0.3209 0.0000 0.8209 Zr
0.3209 0.5000 0.3209 Zr
0.3573 0.3871 0.5297 Zr
0.3574 0.8276 0.9703 Zr
0.3871 0.3574 0.0297 Zr
0.4900 0.2400 0.2500 Zr
0.4907 0.0686 0.4221 Zr
0.5000 0.3209 0.8209 Zr
0.5000 0.6791 0.1791 Zr
0.5093 0.9314 0.5779 Zr
0.5100 0.7600 0.7500 Zr
0.6129 0.6427 0.9703 Zr
0.6427 0.1724 0.0297 Zr
0.6427 0.6129 0.4703 Zr
0.6791 0.0000 0.1791 Zr
0.6791 0.5000 0.6791 Zr
0.7600 0.5100 0.2500 Zr
0.8003 0.1987 0.6016 Zr
0.8013 0.1997 0.8984 Zr
0.8013 0.9029 0.6016 Zr
0.8276 0.3574 0.4703 Zr
0.8536 0.9314 0.9221 Zr
0.9029 0.8013 0.1016 Zr
0.9314 0.5093 0.0779 Zr
0.9314 0.8536 0.4221 Zr
0.1029 0.3529 0.2058 S
0.1029 0.8971 0.7500 S
0.3529 0.1029 0.7058 S
0.3529 0.6471 0.2500 S
0.6471 0.3529 0.7500 S
0.6471 0.8971 0.2942 S
0.8971 0.1029 0.2500 S
0.8971 0.6471 0.7942 S
```

Values from the calculation:
As for the space-group type: No. 141. The value obtained for the calculated formation energy is -0.70 eV/atom.

---

8.
Zr3S | GGA-PBE | optimized geometry

The structure in POSCAR format:
```
Zr3S
1.0
4.2716 0.0000 0.0000
0.0000 4.2716 0.0000
0.0000 0.0000 4.2716
Zr S
3 1
Direct
0.0000 0.0000 0.5000 Zr
0.0000 0.5000 0.0000 Zr
0.5000 0.0000 0.0000 Zr
0.5000 0.5000 0.5000 S
```

Values from the calculation:
As for the space-group type: No. 221. The value obtained for the calculated formation energy is -0.34 eV/atom.

---

9.
Zr23S32 | GGA-PBE | optimized geometry

The structure in POSCAR format:
```
Zr23S32
1.0
7.3065 0.0000 0.0000
-0.0213 7.3284 0.0000
-0.0340 -0.0934 20.7844
Zr S
23 32
Direct
0.0000 0.0000 0.0000 Zr
0.0004 0.4985 0.9986 Zr
0.0016 0.4997 0.7486 Zr
0.0015 0.5014 0.2493 Zr
0.2455 0.2482 0.6245 Zr
0.2466 0.2456 0.1233 Zr
0.2490 0.7520 0.3735 Zr
0.2519 0.7412 0.8724 Zr
0.2556 0.2562 0.8719 Zr
0.4986 0.9975 0.2499 Zr
0.5012 0.4992 0.2511 Zr
0.5021 0.0004 0.9991 Zr
0.5015 0.9995 0.4979 Zr
0.5034 0.4979 0.4970 Zr
0.7460 0.7457 0.8721 Zr
0.7511 0.2466 0.3753 Zr
0.7505 0.2503 0.1233 Zr
0.7517 0.7510 0.6243 Zr
0.7529 0.7544 0.1234 Zr
0.7572 0.2482 0.6246 Zr
0.9975 0.0015 0.4982 Zr
0.9978 0.4977 0.4986 Zr
0.9993 0.0008 0.7460 Zr
0.0011 0.4998 0.3738 S
0.0012 0.9988 0.3751 S
0.0049 0.9949 0.1254 S
0.0104 0.5098 0.1236 S
0.0119 0.5115 0.6243 S
0.0120 0.9871 0.6238 S
0.2459 0.2453 0.2504 S
0.2457 0.7520 0.7497 S
0.2459 0.7537 0.2462 S
0.2497 0.7498 0.5041 S
0.2517 0.2498 0.4935 S
0.2533 0.7476 0.0000 S
0.2621 0.2597 0.9980 S
0.2632 0.2498 0.7488 S
0.4902 0.9898 0.1244 S
0.4962 0.9957 0.6248 S
0.4973 0.5019 0.6243 S
0.4971 0.5027 0.1241 S
0.4996 0.5005 0.3733 S
0.5000 0.9988 0.3731 S
0.5012 0.4992 0.8743 S
0.5045 0.0023 0.8725 S
0.7388 0.7488 0.7489 S
0.7399 0.7387 0.9981 S
0.7460 0.2539 0.9976 S
0.7494 0.2491 0.4996 S
0.7491 0.7491 0.4934 S
0.7529 0.2489 0.7465 S
0.7552 0.7540 0.2505 S
0.7613 0.2389 0.2485 S
0.9898 0.4877 0.8730 S
0.9941 0.0062 0.8733 S
```

Values from the calculation:
As for the space-group type: No. 1. The value obtained for the calculated formation energy is -1.84 eV/atom.

---

10.
Zr5S8 | GGA-PBE | optimized geometry

The structure in POSCAR format:
```
Zr5S8
1.0
0.0000 5.2960 5.2960
5.2960 0.0000 5.2960
5.2960 5.2960 0.0000
Zr S
5 8
Direct
0.0000 0.0000 0.0000 Zr
0.1724 0.6092 0.6092 Zr
0.6092 0.1724 0.6092 Zr
0.6092 0.6092 0.1724 Zr
0.6092 0.6092 0.6092 Zr
0.3708 0.3708 0.3708 S
0.3708 0.3708 0.8876 S
0.3708 0.8876 0.3708 S
0.4025 0.8658 0.8658 S
0.8658 0.4025 0.8658 S
0.8658 0.8658 0.4025 S
0.8658 0.8658 0.8658 S
0.8876 0.3708 0.3708 S
```

Values from the calculation:
As for the space-group type: No. 216. The value obtained for the calculated formation energy is -1.76 eV/atom.

---

11.
Zr3S4 | GGA-PBE | optimized geometry

The structure in POSCAR format:
```
Zr3S4
1.0
30.5990 -1.7841 0.0000
30.5990 1.7841 0.0000
-0.0669 0.0000 6.3696
Zr S
15 20
Direct
0.0000 0.0000 0.0000 Zr
0.0500 0.0500 0.6467 Zr
0.0993 0.0993 0.2970 Zr
0.1500 0.1500 0.9349 Zr
0.2000 0.2000 0.5916 Zr
0.2505 0.2505 0.2819 Zr
0.3496 0.3496 0.5392 Zr
0.4497 0.4497 0.8467 Zr
0.5503 0.5503 0.1533 Zr
0.6504 0.6504 0.4608 Zr
0.7495 0.7495 0.7181 Zr
0.8000 0.8000 0.4084 Zr
0.8500 0.8500 0.0651 Zr
0.9007 0.9007 0.7030 Zr
0.9500 0.9500 0.3533 Zr
0.0245 0.0245 0.3265 S
0.0754 0.0754 0.9691 S
0.1240 0.1240 0.6226 S
0.1747 0.1747 0.2689 S
0.2265 0.2265 0.9155 S
0.2779 0.2779 0.6090 S
0.3227 0.3227 0.2055 S
0.3759 0.3759 0.8891 S
0.4235 0.4235 0.5047 S
0.4762 0.4762 0.1905 S
0.5238 0.5238 0.8095 S
0.5765 0.5765 0.4953 S
0.6241 0.6241 0.1109 S
0.6773 0.6773 0.7945 S
0.7221 0.7221 0.3910 S
0.7735 0.7735 0.0845 S
0.8253 0.8253 0.7311 S
0.8760 0.8760 0.3774 S
0.9246 0.9246 0.0309 S
0.9755 0.9755 0.6735 S
```

Values from the calculation:
The energy relative to the lowest polymorph listed for this composition is 683.3 meV per atom. As for the space-group type: No. 12. The value obtained for the calculated formation energy is -1.18 eV/atom.

---

12.
Zr40S27 | GGA-PBE | optimized geometry

The structure in POSCAR format:
```
Zr40S27
1.0
3.3886 0.0000 0.0000
-1.6943 2.9346 0.0000
0.0000 0.0000 137.7024
Zr S
40 27
Direct
0.0000 0.0000 0.0000 Zr
0.0000 0.0000 0.0244 Zr
0.0000 0.0000 0.0493 Zr
0.0000 0.0000 0.0743 Zr
0.0000 0.0000 0.0993 Zr
0.0000 0.0000 0.1244 Zr
0.0000 0.0000 0.1494 Zr
0.0000 0.0000 0.1743 Zr
0.0000 0.0000 0.1987 Zr
0.0000 0.0000 0.2233 Zr
0.0000 0.0000 0.2495 Zr
0.0000 0.0000 0.2738 Zr
0.0000 0.0000 0.2995 Zr
0.0000 0.0000 0.3230 Zr
0.0000 0.0000 0.3486 Zr
0.0000 0.0000 0.3741 Zr
0.0000 0.0000 0.3993 Zr
0.0000 0.0000 0.4243 Zr
0.0000 0.0000 0.4493 Zr
0.0000 0.0000 0.4743 Zr
0.0000 0.0000 0.4993 Zr
0.0000 0.0000 0.5243 Zr
0.0000 0.0000 0.5493 Zr
0.0000 0.0000 0.5743 Zr
0.0000 0.0000 0.5993 Zr
0.0000 0.0000 0.6243 Zr
0.0000 0.0000 0.6493 Zr
0.0000 0.0000 0.6743 Zr
0.0000 0.0000 0.6993 Zr
0.0000 0.0000 0.7243 Zr
0.0000 0.0000 0.7493 Zr
0.0000 0.0000 0.7743 Zr
0.0000 0.0000 0.7993 Zr
0.0000 0.0000 0.8243 Zr
0.0000 0.0000 0.8494 Zr
0.0000 0.0000 0.8746 Zr
0.0000 0.0000 0.9000 Zr
0.0000 0.0000 0.9256 Zr
0.0000 0.0000 0.9493 Zr
0.0000 0.0000 0.9754 Zr
0.3333 0.6667 0.2365 S
0.3333 0.6667 0.2867 S
0.3333 0.6667 0.3358 S
0.3333 0.6667 0.3614 S
0.3333 0.6667 0.3867 S
0.3333 0.6667 0.4118 S
0.3333 0.6667 0.4368 S
0.3333 0.6667 0.4618 S
0.3333 0.6667 0.4868 S
0.3333 0.6667 0.5118 S
0.3333 0.6667 0.5368 S
0.3333 0.6667 0.5618 S
0.3333 0.6667 0.5868 S
0.3333 0.6667 0.6118 S
0.3333 0.6667 0.6368 S
0.3333 0.6667 0.6618 S
0.3333 0.6667 0.6868 S
0.3333 0.6667 0.7118 S
0.3333 0.6667 0.7368 S
0.3333 0.6667 0.7618 S
0.3333 0.6667 0.7868 S
0.3333 0.6667 0.8118 S
0.3333 0.6667 0.8368 S
0.3333 0.6667 0.8619 S
0.3333 0.6667 0.8872 S
0.3333 0.6667 0.9128 S
0.3333 0.6667 0.9623 S
```

Values from the calculation:
As for the space-group type: No. 156. The value obtained for the calculated formation energy is -1.29 eV/atom.